This record from the Materials Project describes a geometry-optimized CeZr11O24 structure. The functional is meta-GGA r2SCAN.

```
CeZr11O24
1.0
-0.009 5.381 4.233
-6.603 -2.345 -2.361
0.147 -6.143 7.373
O Zr Ce
24 11 1
direct
0.887 0.348 0.913
0.159 0.873 0.804
0.770 0.995 0.762
0.542 0.674 0.575
0.195 0.785 0.534
0.113 0.655 0.091
0.792 0.508 0.650
0.522 0.460 0.870
0.479 0.539 0.129
0.522 0.142 0.679
0.884 0.838 0.395
0.856 0.129 0.204
0.455 0.827 0.933
0.197 0.479 0.344
0.446 0.321 0.421
0.866 0.814 0.015
0.224 0.015 0.244
0.470 0.854 0.314
0.551 0.172 0.073
0.810 0.205 0.463
0.118 0.174 0.592
0.784 0.494 0.261
0.213 0.504 0.743
0.136 0.186 0.983
0.550 0.617 0.339
0.222 0.953 0.014
0.880 0.284 0.676
0.746 0.507 0.036
0.416 0.838 0.706
0.080 0.176 0.367
0.445 0.382 0.659
0.589 0.162 0.299
0.117 0.716 0.322
0.783 0.051 0.994
0.254 0.494 0.965
0.926 0.832 0.634
```

Total energy, eV for the cell shown: -559.64
Total magnetic moment, μB per formula unit: 0.00
Formation energy, meV/atom: -3756